MgCo12B4O20 after structural relaxation, computed with PBE+U.

```
37
Lattice="9.352 0.000 0.000 0.000 3.067 0.000 -0.374 0.000 12.897" Properties=species:S:1:pos:R:3 pbc="T T T"
Mg 0.000 0.000 0.000
Co 1.360 0.000 5.783
Co 1.472 0.000 2.417
Co 1.365 0.000 9.204
Co 1.739 1.533 11.909
Co 3.645 1.533 7.183
Co 3.891 1.533 1.017
Co 5.947 0.000 3.011
Co 5.726 0.000 12.171
Co 6.032 1.533 5.818
Co 6.067 0.000 8.578
Co 8.171 1.533 10.403
Co 8.427 1.533 4.413
B 3.477 1.533 4.057
B 3.941 1.533 10.225
B 8.052 1.533 1.420
B 8.624 1.533 7.511
O -0.036 1.533 6.313
O 0.122 1.533 1.425
O -0.020 1.533 8.706
O 0.267 0.000 3.991
O 0.318 0.000 11.097
O 2.266 0.000 0.395
O 2.427 0.000 7.518
O 2.544 1.533 10.130
O 2.791 1.533 2.834
O 2.764 1.533 5.233
O 4.490 1.533 11.494
O 4.665 1.533 9.053
O 4.861 1.533 4.028
O 5.114 0.000 1.130
O 5.010 0.000 6.747
O 6.948 0.000 10.433
O 7.129 0.000 4.820
O 7.326 1.533 2.544
O 7.235 1.533 7.565
O 7.623 1.533 0.083
```

Summary:
**V**: 10.0 Å³ per atom
**E**: -6.535 eV per atom
**Calculated density**: 4.91 g/cm3
**E_form**: -1.69 eV per atom